A plane-wave DFT calculation with GGA-PBE was carried out for a geometry-optimized Nd3SmGa4O12 structure. Values from VASP.

**Calculated volume**: 238.82 Å³/cell
**ΔH_f (0 K)**: -3060 meV per atom
**E (MP2020)**: -151.72 eV/cell
**Size of the total moment**: 0.0 Bohr magnetons per cell

```
&SYSTEM
  ibrav = 0, nat = 20, ntyp = 4
/
ATOMIC_SPECIES
Nd 144.24 Nd.upf
Sm 150.36 Sm.upf
Ga 69.72 Ga.upf
O 16.00 O.upf
ATOMIC_POSITIONS angstrom
Nd 0.0000 0.0795 5.3180
Nd 3.8963 2.8070 3.0938
Nd 3.8963 5.3866 0.2971
Sm 0.0000 2.6548 2.4929
Ga 1.9405 5.4637 2.8061
Ga 5.8499 2.7396 5.6066
Ga 5.8520 5.4637 2.8061
Ga 1.9426 2.7396 5.6066
O 0.0000 3.2102 0.1550
O 0.0000 4.9491 2.9366
O 3.8963 2.2594 5.4796
O 3.8963 0.4786 2.6831
O 1.5742 1.1430 1.1683
O 6.2322 1.6134 3.9533
O 5.4838 4.3394 4.4555
O 2.3076 3.8678 1.6446
O 2.3087 4.3394 4.4555
O 5.4849 3.8678 1.6446
O 6.2183 1.1430 1.1683
O 1.5604 1.6134 3.9533
CELL_PARAMETERS angstrom
7.7925 0.0000 0.0000
0.0000 5.4617 0.0000
0.0000 0.0073 5.6114
```